Density functional theory data (GGA+U) for a geometry-optimized Al5Fe3O12 structure.

a b c (Å): 5.780 5.780 14.274
angles (deg): 89.91 89.91 59.99
Element x y z (fractional)
1 O 0.656 0.136 0.585
2 O 0.016 0.016 0.249
3 O 0.680 0.680 0.578
4 O 0.136 0.656 0.585
5 O 0.342 0.342 0.905
6 O 0.458 0.021 0.247
7 O 0.319 0.319 0.421
8 O 0.811 0.342 0.905
9 O 0.980 0.531 0.750
10 O 0.649 0.198 0.099
11 O 0.985 0.985 0.748
12 O 0.342 0.811 0.905
13 O 0.165 0.165 0.097
14 O 0.177 0.177 0.571
15 O 0.499 0.499 0.246
16 O 0.340 0.866 0.415
17 O 0.650 0.650 0.098
18 O 0.531 0.980 0.750
19 O 0.021 0.458 0.247
20 O 0.198 0.649 0.099
21 O 0.866 0.340 0.415
22 O 0.498 0.498 0.762
23 O 0.833 0.833 0.893
24 O 0.821 0.821 0.423
25 Al 0.002 0.498 0.497
26 Al 0.827 0.334 0.167
27 Al 0.838 0.838 0.659
28 Al 0.498 0.002 0.497
29 Al 0.334 0.827 0.167
30 Al 0.158 0.669 0.833
31 Al 0.159 0.159 0.338
32 Al 0.669 0.669 0.833
33 Al 0.335 0.335 0.167
34 Al 0.669 0.158 0.833
35 Fe 0.494 0.494 0.622
36 Fe 0.169 0.169 0.699
37 Fe 0.505 0.505 0.380
38 Fe 0.499 0.499 0.012
39 Fe 0.165 0.165 0.962
40 Fe 0.829 0.829 0.292

Calculated values
As for the symmetry: Cm. The calculation puts the formation enthalpy at 0 K at -2694 meV per atom. Its total moment is 30.00 μB/cell.